[1]
## LiNb3O8 (r²SCAN)

Data for LiNb3O8 after structural relaxation.

Results
For the calculated volume, the calculation gives 140 Å³/f.u. The total moment comes out at 0.00 μB/f.u. Its formation energy is -2.738 eV/atom.

Cell: 7.538 5.052 15.430 Å, 90.00 107.33 90.00°
Atoms (fractional coordinates):
Li 0.239 0.241 0.079
Li 0.239 0.259 0.579
Li 0.761 0.741 0.421
Li 0.761 0.759 0.921
Nb 0.020 0.741 0.165
Nb 0.020 0.759 0.665
Nb 0.251 0.745 0.426
Nb 0.251 0.755 0.926
Nb 0.490 0.233 0.331
Nb 0.490 0.267 0.831
Nb 0.510 0.733 0.169
Nb 0.510 0.767 0.669
Nb 0.749 0.245 0.074
Nb 0.749 0.255 0.574
Nb 0.980 0.241 0.335
Nb 0.980 0.259 0.835
O 0.003 0.065 0.098
O 0.003 0.435 0.598
O 0.087 0.584 0.784
O 0.087 0.916 0.284
O 0.148 0.069 0.452
O 0.148 0.431 0.952
O 0.238 0.593 0.155
O 0.238 0.907 0.655
O 0.277 0.081 0.845
O 0.277 0.419 0.345
O 0.353 0.599 0.540
O 0.353 0.901 0.040
O 0.412 0.067 0.217
O 0.412 0.433 0.717
O 0.463 0.579 0.900
O 0.463 0.921 0.400
O 0.537 0.079 0.600
O 0.537 0.421 0.100
O 0.588 0.567 0.283
O 0.588 0.933 0.783
O 0.647 0.099 0.960
O 0.647 0.401 0.460
O 0.723 0.581 0.655
O 0.723 0.919 0.155
O 0.762 0.093 0.345
O 0.762 0.407 0.845
O 0.852 0.569 0.048
O 0.852 0.931 0.548
O 0.913 0.084 0.716
O 0.913 0.416 0.216
O 0.997 0.565 0.402
O 0.997 0.935 0.902

[2]
## Li3NbO4 (r²SCAN)

Data for Li3NbO4 after structural relaxation.

Results
For the calculated volume, the calculation gives 75 Å³/f.u. The total moment comes out at 0.00 μB/f.u. Its formation energy is -2.589 eV/atom.

Cell: 7.289 7.289 7.289 Å, 109.47 109.47 109.47°
Atoms (fractional coordinates):
Li 0.000 0.272 0.513
Li 0.000 0.513 0.272
Li 0.240 0.728 0.728
Li 0.272 0.000 0.513
Li 0.272 0.513 0.000
Li 0.487 0.487 0.760
Li 0.487 0.760 0.487
Li 0.513 0.000 0.272
Li 0.513 0.272 0.000
Li 0.728 0.240 0.728
Li 0.728 0.728 0.240
Li 0.760 0.487 0.487
Nb 0.000 0.000 0.717
Nb 0.000 0.717 0.000
Nb 0.283 0.283 0.283
Nb 0.717 0.000 0.000
O 0.000 0.000 0.229
O 0.000 0.229 0.000
O 0.000 0.511 0.758
O 0.000 0.758 0.511
O 0.229 0.000 0.000
O 0.242 0.242 0.753
O 0.242 0.753 0.242
O 0.247 0.489 0.489
O 0.489 0.247 0.489
O 0.489 0.489 0.247
O 0.511 0.000 0.758
O 0.511 0.758 0.000
O 0.753 0.242 0.242
O 0.758 0.000 0.511
O 0.758 0.511 0.000
O 0.771 0.771 0.771

[3]
## LiNbO2 (r²SCAN)

Data for LiNbO2 after structural relaxation.

Results
For the calculated volume, the calculation gives 39 Å³/f.u. The total moment comes out at 0.00 μB/f.u. Its formation energy is -2.557 eV/atom.

Cell: 2.922 2.922 10.451 Å, 90.00 90.00 120.00°
Atoms (fractional coordinates):
Li 0.000 0.000 0.000
Li 0.000 0.000 0.500
Nb 0.333 0.667 0.250
Nb 0.667 0.333 0.750
O 0.333 0.667 0.622
O 0.333 0.667 0.878
O 0.667 0.333 0.122
O 0.667 0.333 0.378